Record 1
A plane-wave DFT calculation with PBE-GGA was carried out for a geometry-optimized CaP2H10N2O8 structure.

Calculated values
As for the spin magnetization: 0.1 μB/cell.

Geometry as CIF:
```
data_CaP2H10N2O8
_chemical_formula_sum 'Ca8 P16 H80 N16 O64'
_cell_length_a 17.1909
_cell_length_b 10.9528
_cell_length_c 9.6705
_cell_angle_alpha 90.00
_cell_angle_beta 90.00
_cell_angle_gamma 90.00
_symmetry_space_group_name_H-M 'P b c n'
_symmetry_Int_Tables_number 60
loop_
_symmetry_equiv_pos_as_xyz
'x,y,z'
'-x,-y,-z'
'-x+1/2,-y+1/2,z+1/2'
'x+1/2,y+1/2,-z+1/2'
'x+1/2,-y+1/2,-z'
'-x+1/2,y+1/2,z'
'-x,y,-z+1/2'
'x,-y,z+1/2'
loop_
_atom_site_label
_atom_site_fract_x
_atom_site_fract_y
_atom_site_fract_z
Ca1 0.1494 0.2204 0.0040
P1 0.0000 0.1396 0.2500
P2 0.0000 0.2551 0.7500
P3 0.1182 0.0559 0.6939
H1 0.0339 0.1634 0.5453
H2 0.0372 0.3661 0.4081
H3 0.0616 0.4946 0.8853
H4 0.0907 0.0432 0.3974
H5 0.1357 0.3713 0.2664
H6 0.1776 0.3992 0.5462
H7 0.1806 0.2747 0.6200
H8 0.2251 0.3596 0.2296
H9 0.2274 0.3864 0.8018
H10 0.2301 0.0758 0.4408
N1 0.0533 0.1623 0.6465
N2 0.0748 0.0487 0.2944
O1 0.0208 0.2097 0.1196
O2 0.0540 0.3224 0.8475
O3 0.0816 0.4226 0.4026
O4 0.1446 0.0037 0.0597
O5 0.1724 0.3422 0.1939
O6 0.1784 0.1164 0.7862
O7 0.2134 0.3449 0.5964
O8 0.2270 0.3763 0.9027
```

---

Record 2
A plane-wave DFT calculation with PBE-GGA was carried out for a geometry-optimized RbCaH6N3 structure.

Calculated values
As for the spin magnetization: 0.0 μB/cell.

Geometry as CIF:
```
data_RbCaH6N3
_chemical_formula_sum 'Rb4 Ca4 H24 N12'
_cell_length_a 7.3814
_cell_length_b 12.0347
_cell_length_c 6.6790
_cell_angle_alpha 90.00
_cell_angle_beta 110.61
_cell_angle_gamma 90.00
_symmetry_space_group_name_H-M 'C 1 2/c 1'
_symmetry_Int_Tables_number 15
loop_
_symmetry_equiv_pos_as_xyz
'x,y,z'
'-x,-y,-z'
'-x,y,-z+1/2'
'x,-y,z+1/2'
'x+1/2,y+1/2,z'
'-x+1/2,-y+1/2,-z'
'-x+1/2,y+1/2,-z+1/2'
'x+1/2,-y+1/2,z+1/2'
loop_
_atom_site_label
_atom_site_fract_x
_atom_site_fract_y
_atom_site_fract_z
Rb1 0.0000 0.2108 0.2500
Ca1 0.0000 0.5000 0.0000
H1 0.1089 0.2942 0.8356
H2 0.1666 0.0093 0.6130
H3 0.1690 0.1337 0.6982
N1 0.0000 0.3470 0.7500
N2 0.2418 0.4240 0.3347
```

---

| no. | final energy (eV for the cell shown) | DFT formation energy (eV/atom) |
| --- | --- | --- |
| 1 | -1072.0 | -1.586 |
| 2 | -215.6 | -0.603 |